The following is a r²SCAN calculation of an optimized crystal structure of Y4CdPd, from the Materials Project.

abc: 9.7119 9.7115 9.7114
angles: 60.00 60.00 60.00
Last column: nearest neighbours and their distance in Å.
Atoms (fractional coordinates):
Y 0.3540 0.3541 0.3541  3 Pd 2.88
Y 0.3540 0.3541 0.9377  3 Pd 2.88
Y 0.3540 0.9378 0.3541  3 Pd 2.88
Y 0.9378 0.3541 0.3541  3 Pd 2.88
Y 0.8101 0.1900 0.1900  2 Pd 2.88
Y 0.1900 0.8100 0.8100  2 Pd 2.88
Y 0.1900 0.8100 0.1900  2 Pd 2.88
Y 0.8101 0.1900 0.8099  2 Pd 2.88
Y 0.1900 0.1900 0.8100  2 Pd 2.88
Y 0.8101 0.8100 0.1900  2 Pd 2.88
Y 0.9349 0.5652 0.5652  2 Cd 3.28, 2 Pd 3.53, 10 Y 3.53-3.64
Y 0.5652 0.9348 0.9348  2 Cd 3.28, 2 Pd 3.53-3.54, 10 Y 3.53-3.64
Y 0.5652 0.9348 0.5652  2 Cd 3.28, 2 Pd 3.53-3.54, 10 Y 3.53-3.64
Y 0.9349 0.5652 0.9348  2 Cd 3.28, 10 Y 3.53-3.64, 2 Pd 3.53
Y 0.5652 0.5652 0.9348  2 Cd 3.28, 2 Pd 3.53-3.54, 10 Y 3.54-3.64
Y 0.9349 0.9348 0.5651  2 Cd 3.28, 2 Pd 3.53, 10 Y 3.53-3.64
Cd 0.5817 0.5816 0.5815  3 Cd 3.17, 9 Y 3.28-3.52
Cd 0.5816 0.5815 0.2554  3 Cd 3.17, 9 Y 3.28-3.52
Cd 0.5817 0.2552 0.5815  3 Cd 3.17, 9 Y 3.28-3.52
Cd 0.2549 0.5817 0.5817  3 Cd 3.17, 9 Y 3.28-3.51
Pd 0.1444 0.1446 0.1446  6 Y 2.88
Pd 0.1444 0.1446 0.5664  6 Y 2.88
Pd 0.1444 0.5664 0.1446  6 Y 2.88
Pd 0.5663 0.1445 0.1446  6 Y 2.88

Results
Energy relative to the elements   -477 meV/atom